1.
# EuCuSF

An optimized crystal structure of EuCuSF (PBE-GGA, Materials Project).

Cell lengths 3.920, 3.920, 8.631 Å; angles 90.00, 90.00, 90.00 degrees
Atoms (fractional coordinates):
Eu 0.500 0.000 0.676
Eu 0.000 0.500 0.324
S 0.000 0.500 0.835
S 0.500 0.000 0.165
Cu 0.500 0.500 0.000
Cu 0.000 0.000 0.000
F 0.000 0.000 0.500
F 0.500 0.500 0.500

Energy of formation from the pure elements (eV/f.u.): -9.03
Energy with MP2020 corrections (eV/cell): -58.87

2.
# EuGaCu

An optimized crystal structure of EuGaCu (PBE-GGA, Materials Project).

Cell lengths 5.614, 5.614, 7.382 Å; angles 51.39, 51.39, 47.62 degrees
Atoms (fractional coordinates):
Ga 0.831 0.831 0.107
Ga 0.169 0.169 0.893
Eu 0.550 0.550 0.695
Eu 0.450 0.450 0.305
Cu 0.834 0.834 0.725
Cu 0.166 0.166 0.275

Energy of formation from the pure elements (eV/f.u.): -1.05